Computed, not measured: a relaxed Ba2Gd2Co4O11 crystal at the PBE with a Hubbard U level of DFT.

abc: 3.860 7.591 8.055
angles: 90.00 90.00 90.00
Positions (direct):
Ba: 0.500 0.000 0.244
Ba: 0.500 0.000 0.756
Gd: 0.500 0.500 0.274
Gd: 0.500 0.500 0.726
Co: 0.000 0.750 0.500
Co: 0.000 0.250 0.500
Co: 0.000 0.729 0.000
Co: 0.000 0.271 0.000
O: 0.000 0.000 0.000
O: 0.000 0.000 0.500
O: 0.000 0.500 0.500
O: 0.500 0.684 0.000
O: 0.500 0.316 0.000
O: 0.500 0.726 0.500
O: 0.500 0.274 0.500
O: 0.000 0.704 0.237
O: 0.000 0.704 0.763
O: 0.000 0.296 0.763
O: 0.000 0.296 0.237

Computed, not measured: a relaxed Mn3OF5 crystal at the PBE with a Hubbard U level of DFT.

abc: 5.912 5.912 7.539
angles: 73.06 73.06 74.27
Positions (direct):
Mn: 0.500 0.500 0.000
Mn: 0.151 0.151 0.844
Mn: 0.500 0.500 0.500
Mn: 0.158 0.158 0.321
Mn: 0.842 0.842 0.679
Mn: 0.849 0.849 0.156
O: 0.062 0.062 0.120
O: 0.938 0.938 0.880
F: 0.476 0.857 0.825
F: 0.798 0.202 0.500
F: 0.749 0.749 0.448
F: 0.378 0.378 0.806
F: 0.622 0.622 0.194
F: 0.251 0.251 0.552
F: 0.202 0.798 0.500
F: 0.857 0.476 0.825
F: 0.524 0.143 0.175
F: 0.143 0.524 0.175

Computed, not measured: a relaxed Mg6MnCdO8 crystal at the PBE with a Hubbard U level of DFT.

abc: 8.767 4.396 4.396
angles: 90.00 90.00 90.00
Positions (direct):
Mg: 0.000 0.500 0.500
Mg: 0.500 0.500 0.500
Mg: 0.246 0.000 0.500
Mg: 0.754 0.000 0.500
Mg: 0.246 0.500 0.000
Mg: 0.754 0.500 0.000
Mn: 0.000 0.000 0.000
Cd: 0.500 0.000 0.000
O: 0.240 0.000 0.000
O: 0.760 0.000 0.000
O: 0.250 0.500 0.500
O: 0.750 0.500 0.500
O: 0.000 0.000 0.500
O: 0.500 0.000 0.500
O: 0.000 0.500 0.000
O: 0.500 0.500 0.000

What final energy values result from the calculations? In sequence: -143.90; -58.72; -94.14 eV per formula unit.
What formation energy values result from the calculations? In sequence: -2.27; -2.75; -2.63 eV/atom.
What magnetic moment values result from the calculations? In sequence: 24.0; 14.0; 5.0 μB/f.u..